1.
## Fe4AgXeF5 (PBE+U)

Data for a relaxed Fe4AgXeF5 crystal.

Lattice parameters (Å, degrees): 6.7822 6.7822 17.2811 90.00 90.00 90.00
Space group I4/m (No. 87)
Symmetry-distinct sites (fractional):
Fe 0.0841 0.6940 0.1894
Ag 0.0000 0.5000 0.0000
Xe 0.0000 0.0000 0.3950
F 0.0000 0.0000 0.2100
F 0.1173 0.2794 0.1052

Results
Formation energy from the elements   -89.6 kJ/mol of atoms
E   -4.110 eV per atom

***

2.
## Li2FeSi6O15 (PBE+U)

Data for a relaxed Li2FeSi6O15 crystal.

Lattice parameters (Å, degrees): 6.9978 12.7009 7.5383 90.00 111.91 90.00
Space group P2_1 (No. 4)
Symmetry-distinct sites (fractional):
Li 0.1469 0.0000 0.4581
Li 0.1727 0.1686 0.1627
Fe 0.2629 0.5887 0.7519
Si 0.0016 0.4928 0.0249
Si 0.0348 0.6716 0.3128
Si 0.3039 0.8267 0.9106
Si 0.3073 0.3285 0.7059
Si 0.4625 0.4972 0.1922
Si 0.4937 0.6755 0.4760
O 0.0176 0.0306 0.1860
O 0.0417 0.6023 0.4951
O 0.0687 0.1001 0.8843
O 0.0923 0.2817 0.7125
O 0.1478 0.8940 0.9817
O 0.1748 0.7227 0.8096
O 0.2332 0.4551 0.1679
O 0.2640 0.7064 0.3272
O 0.2915 0.4530 0.6620
O 0.3500 0.2705 0.5291
O 0.3663 0.9010 0.7591
O 0.4327 0.0683 0.6109
O 0.4479 0.5628 0.0038
O 0.4860 0.2984 0.9105
O 0.4874 0.1542 0.3076

Results
Formation energy from the elements   -275.4 kJ/mol of atoms
Distance to the lowest polymorph of the same formula   29 meV/atom
E   -7.292 eV per atom

***

3.
## Ba2VI5O17 (PBE+U)

Data for a relaxed Ba2VI5O17 crystal.

Lattice parameters (Å, degrees): 7.6859 33.6977 7.2616 90.00 116.20 90.00
Space group P2_1/c (No. 14)
Symmetry-distinct sites (fractional):
Ba 0.1220 0.1870 0.0191
Ba 0.3153 0.5022 0.1719
V 0.4727 0.0965 0.4797
I 0.0608 0.1038 0.5817
I 0.1019 0.0479 0.0565
I 0.2233 0.7151 0.1339
I 0.3746 0.6141 0.5079
I 0.4013 0.1993 0.6014
O 0.0337 0.5536 0.9512
O 0.0853 0.1138 0.8384
O 0.0893 0.0086 0.2256
O 0.1302 0.6850 0.9022
O 0.1689 0.6462 0.3625
O 0.1781 0.7346 0.5262
O 0.1885 0.2301 0.4557
O 0.2064 0.0883 0.2543
O 0.2660 0.5649 0.4435
O 0.3073 0.1553 0.4319
O 0.3140 0.0869 0.6660
O 0.3204 0.0319 0.0362
O 0.3550 0.6217 0.7590
O 0.3606 0.1815 0.8174
O 0.4114 0.6114 0.1574
O 0.4703 0.5480 0.9735
O 0.4869 0.7151 0.2108

Results
Formation energy from the elements   -148.1 kJ/mol of atoms
E   -5.186 eV per atom

***

4.
## Li9Mn2Co5O16 (PBE+U)

Data for a relaxed Li9Mn2Co5O16 crystal.

Lattice parameters (Å, degrees): 5.8821 6.4426 8.0939 88.84 89.27 65.65
Space group P-1 (No. 2)
Symmetry-distinct sites (fractional):
Li 0.0000 0.0000 0.0000
Li 0.0000 0.0000 0.5000
Li 0.1274 0.2464 0.2432
Li 0.2515 0.4993 0.0000
Li 0.3750 0.7542 0.7559
Li 0.5000 0.0000 0.5000
Mn 0.3653 0.7557 0.2464
Co 0.1297 0.2457 0.7533
Co 0.2518 0.4992 0.4995
Co 0.5000 0.0000 0.0000
O 0.0217 0.9698 0.2512
O 0.1316 0.2653 0.5135
O 0.1528 0.2309 0.9832
O 0.2588 0.5079 0.2597
O 0.2725 0.4733 0.7394
O 0.3658 0.7387 0.4904
O 0.3820 0.7580 0.0130
O 0.4820 0.9951 0.2404

Results
Formation energy from the elements   -171.5 kJ/mol of atoms
Distance to the lowest polymorph of the same formula   86 meV/atom
E   -5.768 eV per atom

***

5.
## LiInMo2O8 (PBE+U)

Data for a relaxed LiInMo2O8 crystal.

Lattice parameters (Å, degrees): 7.2646 8.1636 13.0816 90.00 104.05 90.00
Space group P2_1/c (No. 14)
Symmetry-distinct sites (fractional):
Li 0.0381 0.1505 0.3584
In 0.3808 0.1611 0.0325
Mo 0.0957 0.7109 0.4238
Mo 0.4828 0.5885 0.1722
O 0.0097 0.1388 0.2022
O 0.0778 0.1867 0.9949
O 0.1298 0.5792 0.9098
O 0.2543 0.6750 0.1469
O 0.3274 0.5941 0.4695
O 0.3592 0.2182 0.3826
O 0.4231 0.0626 0.1882
O 0.4595 0.1103 0.6116

Results
Formation energy from the elements   -198.6 kJ/mol of atoms
Distance to the lowest polymorph of the same formula   0 meV/atom
E   -6.561 eV per atom

***

6.
## LiV2P4H2O16 (PBE+U)

Data for a relaxed LiV2P4H2O16 crystal.

Lattice parameters (Å, degrees): 7.3446 9.2355 9.2856 116.39 97.59 97.38
Space group P1 (No. 1)
Symmetry-distinct sites (fractional):
Li 0.0000 0.0000 0.0000
Li 0.2982 0.4683 0.7296
V 0.1514 0.2368 0.8672
V 0.1527 0.7371 0.3662
V 0.6452 0.2360 0.3662
V 0.6469 0.7374 0.8664
P 0.3785 0.4949 0.4734
P 0.3829 0.9987 0.9806
P 0.4200 0.6229 0.1073
P 0.4237 0.1252 0.6077
P 0.8806 0.3484 0.1308
P 0.8845 0.8499 0.6278
P 0.9077 0.4712 0.7523
P 0.9145 0.9751 0.2601
H 0.1358 0.7164 0.8537
H 0.1412 0.2212 0.3580
H 0.6577 0.7470 0.3827
H 0.6603 0.2489 0.8865
O 0.0010 0.0312 0.7151
O 0.0055 0.2293 0.0369
O 0.0158 0.7396 0.5320
O 0.0926 0.5867 0.7688
O 0.0948 0.0889 0.2695
O 0.2026 0.3806 0.4620
O 0.2041 0.8833 0.9621
O 0.2825 0.7318 0.2007
O 0.2916 0.2414 0.6956
O 0.2991 0.4418 0.0187
O 0.3016 0.9450 0.5142
O 0.3272 0.6305 0.4288
O 0.3363 0.1316 0.9348
O 0.4569 0.6571 0.9629
O 0.4759 0.1696 0.4706
O 0.4871 0.5786 0.6549
O 0.5007 0.0835 0.1611
O 0.5090 0.3993 0.3625
O 0.5144 0.9003 0.8725
O 0.5970 0.6470 0.2227
O 0.5976 0.1415 0.7219
O 0.7020 0.8298 0.5158
O 0.7029 0.3358 0.0162
O 0.7843 0.5741 0.8635
O 0.7886 0.0735 0.3717
O 0.7966 0.3903 0.5725
O 0.8106 0.8947 0.0783
O 0.8227 0.3043 0.2639
O 0.8410 0.8151 0.7698
O 0.9642 0.3422 0.7986
O 0.9707 0.8418 0.3041
O 0.9985 0.5278 0.2182

Results
Formation energy from the elements   -231.5 kJ/mol of atoms
Distance to the lowest polymorph of the same formula   3 meV/atom
E   -6.931 eV per atom

***

7.
## Li4V3P8O29 (PBE+U)

Data for a relaxed Li4V3P8O29 crystal.

Lattice parameters (Å, degrees): 9.7625 9.7740 14.2031 89.78 89.89 60.08
Space group P1 (No. 1)
Symmetry-distinct sites (fractional):
Li 0.0000 0.0000 0.0000
Li 0.0023 0.5555 0.5042
Li 0.0600 0.2143 0.5597
Li 0.3232 0.9161 0.1215
Li 0.4131 0.1447 0.9978
Li 0.4228 0.9948 0.5066
Li 0.7793 0.3238 0.1226
Li 0.8656 0.5588 0.0024
V 0.0981 0.6648 0.3119
V 0.0986 0.7953 0.8070
V 0.5291 0.2335 0.8109
V 0.5309 0.7979 0.3139
V 0.6622 0.6622 0.8090
V 0.6641 0.2247 0.3206
P 0.0081 0.0019 0.2208
P 0.0111 0.5430 0.7190
P 0.1798 0.9237 0.4040
P 0.1817 0.4591 0.9011
P 0.3181 0.3136 0.3987
P 0.3252 0.9118 0.9029
P 0.4101 0.0050 0.7219
P 0.4168 0.1437 0.2161
P 0.4282 0.5659 0.6930
P 0.4331 0.5620 0.1957
P 0.7640 0.8952 0.9316
P 0.7648 0.8940 0.4343
P 0.7781 0.3188 0.9056
P 0.7888 0.4533 0.4015
P 0.8655 0.5520 0.2206
P 0.8731 0.1490 0.7229
O 0.0072 0.7032 0.7344
O 0.0120 0.5732 0.2302
O 0.0118 0.9738 0.7342
O 0.0776 0.4687 0.6266
O 0.0837 0.4673 0.9829
O 0.0917 0.9901 0.1297
O 0.0960 0.0226 0.4858
O 0.1044 0.0201 0.3060
O 0.1083 0.4312 0.8044
O 0.1765 0.7671 0.3902
O 0.1778 0.8914 0.9035
O 0.1794 0.4874 0.4009
O 0.1886 0.6124 0.8830
O 0.2811 0.5679 0.2439
O 0.2820 0.7186 0.7395
O 0.2970 0.2469 0.2997
O 0.3016 0.0209 0.8120
O 0.3114 0.2193 0.4789
O 0.3310 0.0089 0.6317
O 0.3341 0.9911 0.9915
O 0.3502 0.3146 0.9027
O 0.3543 0.2187 0.1236
O 0.3548 0.8868 0.3994
O 0.4216 0.4250 0.7361
O 0.4272 0.5806 0.5894
O 0.4269 0.7161 0.2327
O 0.4288 0.5598 0.0912
O 0.4309 0.9786 0.2246
O 0.4416 0.1435 0.7319
O 0.4775 0.7529 0.8858
O 0.4779 0.3149 0.3903
O 0.5689 0.8474 0.7380
O 0.5765 0.1328 0.2436
O 0.5786 0.5650 0.7395
O 0.5805 0.4123 0.2378
O 0.6090 0.9082 0.3954
O 0.6115 0.0452 0.8958
O 0.6185 0.3281 0.8872
O 0.6337 0.6096 0.3941
O 0.7153 0.7126 0.2405
O 0.7165 0.1502 0.7315
O 0.7545 0.3135 0.3952
O 0.7573 0.4873 0.9035
O 0.7623 0.7455 0.8895
O 0.7711 0.0410 0.3882
O 0.7705 0.8936 0.5387
O 0.7738 0.8842 0.0367
O 0.8401 0.5723 0.7330
O 0.8409 0.1489 0.2241
O 0.8540 0.2339 0.9962
O 0.8545 0.4808 0.1297
O 0.8846 0.4326 0.3036
O 0.8935 0.2275 0.8198
O 0.8971 0.4324 0.4810
O 0.8983 0.2272 0.6413
O 0.9116 0.7418 0.3916
O 0.9130 0.8971 0.8893
O 0.9984 0.8502 0.2408

Results
Formation energy from the elements   -248.5 kJ/mol of atoms
Distance to the lowest polymorph of the same formula   8 meV/atom
E   -7.045 eV per atom